Record 1
Compound: Al
Source: the Materials Project
Functional: GGA-PBE
Structure: optimized geometry

Properties
**Total magnetization**: 0.0 μB per formula unit
**Energy above the lowest structure with this stoichiometry**: 10.4 kJ/mol of atoms
**Formation enthalpy at 0 K**: 10.4 kJ/mol of atoms

abc: 11.988 12.166 12.178
angles: 90.91 92.56 95.22
Space group P1 (No. 1)
Symmetry-distinct sites (fractional):
Al: 0.000 0.000 0.000
Al: 0.001 0.255 0.373
Al: 0.006 0.572 0.677
Al: 0.033 0.945 0.557
Al: 0.035 0.359 0.790
Al: 0.037 0.833 0.192
Al: 0.053 0.387 0.560
Al: 0.079 0.378 0.193
Al: 0.085 0.952 0.794
Al: 0.094 0.589 0.900
Al: 0.108 0.170 0.123
Al: 0.119 0.144 0.677
Al: 0.130 0.807 0.981
Al: 0.132 0.760 0.644
Al: 0.136 0.183 0.898
Al: 0.150 0.100 0.455
Al: 0.153 0.673 0.359
Al: 0.157 0.608 0.126
Al: 0.169 0.396 0.989
Al: 0.175 0.455 0.387
Al: 0.186 0.016 0.247
Al: 0.216 0.566 0.578
Al: 0.222 0.244 0.307
Al: 0.240 0.013 0.014
Al: 0.249 0.344 0.672
Al: 0.249 0.876 0.408
Al: 0.255 0.950 0.626
Al: 0.263 0.826 0.176
Al: 0.272 0.523 0.809
Al: 0.303 0.883 0.837
Al: 0.304 0.427 0.200
Al: 0.322 0.115 0.821
Al: 0.323 0.241 0.052
Al: 0.332 0.158 0.593
Al: 0.332 0.706 0.966
Al: 0.361 0.349 0.473
Al: 0.362 0.714 0.695
Al: 0.373 0.090 0.391
Al: 0.378 0.640 0.194
Al: 0.386 0.495 0.010
Al: 0.390 0.334 0.852
Al: 0.408 0.050 0.171
Al: 0.432 0.502 0.642
Al: 0.438 0.859 0.538
Al: 0.445 0.267 0.267
Al: 0.466 0.515 0.366
Al: 0.470 0.016 0.706
Al: 0.479 0.844 0.125
Al: 0.490 0.009 0.959
Al: 0.501 0.294 0.653
Al: 0.501 0.597 0.840
Al: 0.502 0.927 0.336
Al: 0.528 0.826 0.830
Al: 0.536 0.670 0.537
Al: 0.542 0.445 0.168
Al: 0.550 0.210 0.071
Al: 0.564 0.721 0.314
Al: 0.569 0.230 0.454
Al: 0.570 0.658 0.063
Al: 0.571 0.201 0.847
Al: 0.590 0.416 0.960
Al: 0.608 0.019 0.525
Al: 0.631 0.460 0.528
Al: 0.641 0.447 0.757
Al: 0.647 0.038 0.190
Al: 0.666 0.870 0.013
Al: 0.668 0.826 0.656
Al: 0.675 0.264 0.260
Al: 0.682 0.024 0.779
Al: 0.702 0.512 0.318
Al: 0.705 0.207 0.643
Al: 0.715 0.691 0.883
Al: 0.738 0.901 0.369
Al: 0.749 0.619 0.669
Al: 0.750 0.687 0.453
Al: 0.755 0.543 0.087
Al: 0.758 0.091 0.988
Al: 0.761 0.316 0.061
Al: 0.765 0.731 0.216
Al: 0.778 0.122 0.402
Al: 0.793 0.298 0.840
Al: 0.796 0.341 0.448
Al: 0.820 0.994 0.604
Al: 0.835 0.898 0.855
Al: 0.842 0.936 0.148
Al: 0.843 0.408 0.653
Al: 0.859 0.529 0.853
Al: 0.872 0.398 0.250
Al: 0.875 0.161 0.190
Al: 0.892 0.784 0.614
Al: 0.904 0.726 0.030
Al: 0.918 0.115 0.799
Al: 0.925 0.198 0.579
Al: 0.932 0.546 0.448
Al: 0.953 0.251 0.993
Al: 0.955 0.613 0.231
Al: 0.956 0.780 0.397
Al: 0.959 0.478 0.043
Al: 0.965 0.005 0.338
Al: 0.972 0.744 0.817

***

Record 2
Compound: Ca6Ge2O
Source: the Materials Project
Functional: GGA-PBE
Structure: optimized geometry

Properties
**Total magnetization**: 0.0 μB per formula unit
**Formation enthalpy at 0 K**: -103.3 kJ/mol of atoms

abc: 9.624 9.624 9.624
angles: 90.00 90.00 90.00
Space group Fm-3m (No. 225)
Symmetry-distinct sites (fractional):
Ca: 0.000 0.000 0.246
Ge: 0.250 0.250 0.250
O: 0.000 0.000 0.000